## Sc2ZnSe4 (r²SCAN)

Data for Sc2ZnSe4 after structural relaxation.

a = 7.787 Å, b = 7.787 Å, c = 7.787 Å
α = 60.00°, β = 60.00°, γ = 60.00°
Fractional coordinates of all 14 atoms:
Sc: 0.000 0.000 0.000
Sc: 0.000 0.000 0.500
Sc: 0.000 0.500 0.000
Sc: 0.500 0.000 0.000
Zn: 0.375 0.375 0.375
Zn: 0.625 0.625 0.625
Se: 0.237 0.754 0.754
Se: 0.246 0.246 0.246
Se: 0.246 0.246 0.763
Se: 0.246 0.763 0.246
Se: 0.754 0.237 0.754
Se: 0.754 0.754 0.237
Se: 0.754 0.754 0.754
Se: 0.763 0.246 0.246

Computed properties:
The total magnetization is 0.0 μB per formula unit. The electronic total energy is -14.34 eV per atom. For the formation energy from the elements, the calculation gives -1.63 eV/atom.